{
  "formula": "Te4Mo3WSe2S2",
  "functional": "PBE-GGA",
  "state": "optimized geometry",
  "cell": [[1.700, -2.944, 0.000], [1.700, 2.944, 0.000], [0.000, 0.000, 38.701]],
  "species": ["Te", "Te", "Te", "Te", "Mo", "Mo", "Mo", "W", "Se", "Se", "S", "S"],
  "fractional_positions": [[0.333, 0.667, 0.330], [0.333, 0.667, 0.706], [0.333, 0.667, 0.233], [0.333, 0.667, 0.609], [0.333, 0.667, 0.094], [0.333, 0.667, 0.470], [0.667, 0.333, 0.282], [0.667, 0.333, 0.658], [0.667, 0.333, 0.051], [0.667, 0.333, 0.137], [0.667, 0.333, 0.431], [0.667, 0.333, 0.508]],
  "m_tot_mub_per_atom": 0.00,
  "energy_mp2020_ev_per_cell": -79.35,
  "sg": "P3m1",
  "e_above_lowest_polymorph_mev_per_atom": 35.2,
  "delta_e_f_ev_per_atom": -0.501,
  "final_energy_ev_per_cell": -78.34
}

=====

{
  "formula": "VSiW",
  "functional": "PBE-GGA",
  "state": "optimized geometry",
  "cell": [[-1.246, 1.915, -4.222], [-3.046, 0.381, 3.690], [3.497, 7.037, 2.160]],
  "species": ["V", "V", "V", "V", "Si", "Si", "Si", "Si", "W", "W", "W", "W"],
  "fractional_positions": [[0.839, 0.161, 0.000], [0.166, 0.345, 0.500], [0.655, 0.834, 0.500], [0.168, 0.832, 0.500], [0.994, 0.006, 0.254], [0.994, 0.006, 0.746], [0.832, 0.653, 0.000], [0.347, 0.168, 0.000], [0.340, 0.660, 0.188], [0.662, 0.338, 0.310], [0.662, 0.338, 0.690], [0.340, 0.660, 0.812]],
  "m_tot_mub_per_atom": 0.00,
  "sg": "Amm2",
  "delta_e_f_ev_per_atom": -0.181,
  "final_energy_ev_per_cell": -112.04
}

=====

{
  "formula": "LiCdN",
  "functional": "PBE-GGA",
  "state": "optimized geometry",
  "cell": [[-5.153, -4.020, 5.887], [2.619, -1.018, 3.067], [-2.586, 4.585, 3.730]],
  "species": ["Li", "Li", "Li", "Li", "Cd", "Cd", "Cd", "Cd", "N", "N", "N", "N"],
  "fractional_positions": [[0.688, 0.656, 0.969], [0.312, 0.344, 0.031], [0.114, 0.443, 0.888], [0.886, 0.557, 0.112], [0.830, 0.585, 0.515], [0.170, 0.415, 0.485], [0.431, 0.784, 0.675], [0.569, 0.216, 0.325], [0.918, 0.541, 0.790], [0.082, 0.459, 0.210], [0.347, 0.326, 0.693], [0.653, 0.674, 0.307]],
  "m_tot_mub_per_atom": 0.00,
  "energy_mp2020_ev_per_cell": -41.89,
  "sg": "C2/m",
  "delta_e_f_ev_per_atom": 0.232,
  "final_energy_ev_per_cell": -40.45
}

=====

{
  "formula": "K2TbF5",
  "functional": "PBE-GGA",
  "state": "optimized geometry",
  "cell": [[-5.884, -2.235, 2.283], [-0.744, -4.160, -5.989], [5.141, -8.298, 5.125]],
  "species": ["K", "K", "K", "K", "K", "K", "K", "K", "Tb", "Tb", "Tb", "Tb", "F", "F", "F", "F", "F", "F", "F", "F", "F", "F", "F", "F", "F", "F", "F", "F", "F", "F", "F", "F"],
  "fractional_positions": [[0.528, 0.497, 0.828], [0.472, 0.503, 0.172], [0.028, 0.503, 0.672], [0.472, 0.997, 0.172], [0.972, 0.497, 0.328], [0.528, 0.003, 0.828], [0.972, 0.003, 0.328], [0.028, 0.997, 0.672], [0.565, 0.750, 0.502], [0.435, 0.250, 0.498], [0.065, 0.250, 0.998], [0.935, 0.750, 0.002], [0.835, 0.750, 0.808], [0.165, 0.250, 0.192], [0.335, 0.250, 0.692], [0.665, 0.750, 0.308], [0.367, 0.750, 0.662], [0.633, 0.250, 0.338], [0.867, 0.250, 0.838], [0.133, 0.750, 0.162], [0.895, 0.750, 0.513], [0.105, 0.250, 0.487], [0.395, 0.250, 0.987], [0.605, 0.750, 0.013], [0.644, 0.033, 0.579], [0.356, 0.967, 0.421], [0.144, 0.967, 0.921], [0.356, 0.533, 0.421], [0.856, 0.033, 0.079], [0.644, 0.467, 0.579], [0.856, 0.467, 0.079], [0.144, 0.533, 0.921]],
  "energy_mp2020_ev_per_cell": -186.24,
  "sg": "Pnma",
  "delta_e_f_ev_per_atom": -3.767,
  "final_energy_ev_per_cell": -177.00
}

=====

{
  "formula": "TcF6",
  "functional": "PBE-GGA",
  "state": "optimized geometry",
  "cell": [[-3.180, 3.180, 3.180], [3.180, -3.180, 3.180], [3.180, 3.180, -3.180]],
  "species": ["Tc", "F", "F", "F", "F", "F", "F"],
  "fractional_positions": [[0.000, 0.000, 0.000], [0.000, 0.292, 0.292], [0.000, 0.708, 0.708], [0.292, 0.000, 0.292], [0.708, 0.000, 0.708], [0.292, 0.292, 0.000], [0.708, 0.708, 0.000]],
  "energy_mp2020_ev_per_cell": -37.94,
  "sg": "Im-3m",
  "delta_e_f_ev_per_atom": -2.299,
  "final_energy_ev_per_cell": -35.17
}

=====

{
  "formula": "NaScTiO4",
  "functional": "PBE-GGA",
  "state": "optimized geometry",
  "cell": [[-2.358, 1.903, -0.482], [-5.499, -7.350, -2.115], [-2.887, -0.891, 10.605]],
  "species": ["Na", "Na", "Na", "Na", "Sc", "Sc", "Sc", "Sc", "Ti", "Ti", "Ti", "Ti", "O", "O", "O", "O", "O", "O", "O", "O", "O", "O", "O", "O", "O", "O", "O", "O"],
  "fractional_positions": [[0.500, 0.255, 0.900], [0.500, 0.755, 0.100], [0.000, 0.743, 0.598], [0.000, 0.243, 0.402], [0.500, 0.428, 0.140], [0.500, 0.928, 0.860], [0.500, 0.421, 0.644], [0.500, 0.921, 0.356], [0.000, 0.562, 0.362], [0.000, 0.062, 0.638], [0.000, 0.580, 0.854], [0.000, 0.080, 0.146], [0.500, 0.197, 0.602], [0.500, 0.697, 0.398], [0.000, 0.784, 0.904], [0.000, 0.284, 0.096], [0.500, 0.122, 0.261], [0.500, 0.622, 0.739], [0.000, 0.895, 0.226], [0.000, 0.395, 0.774], [0.500, 0.427, 0.331], [0.500, 0.927, 0.669], [0.000, 0.575, 0.187], [0.000, 0.075, 0.813], [0.500, 0.027, 0.038], [0.500, 0.527, 0.962], [0.000, 0.984, 0.472], [0.000, 0.484, 0.528]],
  "m_tot_mub_per_atom": 0.00,
  "energy_mp2020_ev_per_cell": -235.18,
  "sg": "Pmc2_1",
  "delta_e_f_ev_per_atom": -3.350,
  "final_energy_ev_per_cell": -224.19
}

=====

{
  "formula": "LiCu2F7",
  "functional": "PBE-GGA",
  "state": "optimized geometry",
  "cell": [[-1.615, -12.279, -0.330], [3.832, -0.618, 4.233], [-4.543, 0.460, 5.116]],
  "species": ["Li", "Li", "Li", "Li", "Cu", "Cu", "Cu", "Cu", "Cu", "Cu", "Cu", "Cu", "F", "F", "F", "F", "F", "F", "F", "F", "F", "F", "F", "F", "F", "F", "F", "F", "F", "F", "F", "F", "F", "F", "F", "F", "F", "F", "F", "F"],
  "fractional_positions": [[0.628, 0.395, 0.243], [0.872, 0.395, 0.743], [0.128, 0.605, 0.257], [0.372, 0.605, 0.757], [0.960, 0.155, 0.327], [0.332, 0.144, 0.444], [0.540, 0.155, 0.827], [0.168, 0.144, 0.944], [0.832, 0.856, 0.056], [0.460, 0.845, 0.173], [0.668, 0.856, 0.556], [0.040, 0.845, 0.673], [0.094, 0.058, 0.450], [0.249, 0.097, 0.162], [0.406, 0.058, 0.950], [0.251, 0.097, 0.662], [0.854, 0.168, 0.039], [0.461, 0.149, 0.295], [0.646, 0.168, 0.539], [0.039, 0.149, 0.795], [0.046, 0.355, 0.160], [0.454, 0.355, 0.660], [0.902, 0.388, 0.461], [0.289, 0.441, 0.396], [0.598, 0.388, 0.961], [0.211, 0.441, 0.896], [0.789, 0.559, 0.104], [0.402, 0.612, 0.039], [0.711, 0.559, 0.604], [0.098, 0.612, 0.539], [0.546, 0.645, 0.340], [0.954, 0.645, 0.840], [0.961, 0.851, 0.205], [0.354, 0.832, 0.461], [0.539, 0.851, 0.705], [0.146, 0.832, 0.961], [0.749, 0.903, 0.338], [0.594, 0.942, 0.050], [0.751, 0.903, 0.838], [0.906, 0.942, 0.550]],
  "m_tot_mub_per_atom": 0.20,
  "energy_mp2020_ev_per_cell": -167.74,
  "sg": "P2_1/c",
  "e_above_lowest_polymorph_mev_per_atom": 85.2,
  "delta_e_f_ev_per_atom": -1.843,
  "final_energy_ev_per_cell": -154.80
}

=====

{
  "formula": "KNaNb4O12",
  "functional": "PBE-GGA",
  "state": "optimized geometry",
  "cell": [[5.664, 0.000, 0.000], [0.000, 5.664, 0.000], [0.000, 0.000, 8.013]],
  "species": ["K", "Na", "Nb", "Nb", "Nb", "Nb", "O", "O", "O", "O", "O", "O", "O", "O", "O", "O", "O", "O"],
  "fractional_positions": [[0.000, 0.000, 0.500], [0.500, 0.500, 0.000], [0.000, 0.500, 0.751], [0.000, 0.500, 0.249], [0.500, 0.000, 0.751], [0.500, 0.000, 0.249], [0.251, 0.251, 0.751], [0.251, 0.251, 0.249], [0.749, 0.749, 0.751], [0.749, 0.749, 0.249], [0.749, 0.251, 0.751], [0.749, 0.251, 0.249], [0.251, 0.749, 0.751], [0.251, 0.749, 0.249], [0.000, 0.500, 0.500], [0.000, 0.500, 0.000], [0.500, 0.000, 0.500], [0.500, 0.000, 0.000]],
  "m_tot_mub_per_atom": 0.11,
  "energy_mp2020_ev_per_cell": -150.39,
  "sg": "P4/mmm",
  "delta_e_f_ev_per_atom": -2.676,
  "final_energy_ev_per_cell": -142.14
}